1.
# KTa3CuO9 (PBE, optimized geometry)
data_KTa3CuO9
_cell_length_a 7.715
_cell_length_b 8.960
_cell_length_c 10.244
_cell_angle_alpha 90.00
_cell_angle_beta 90.00
_cell_angle_gamma 90.00
_space_group_name_H-M_alt 'P m n a'
_space_group_IT_number 53
loop_
_space_group_symop_operation_xyz
'x,y,z'
'-x,-y,-z'
'-x+1/2,-y,z+1/2'
'x+1/2,y,-z+1/2'
'x,-y,-z'
'-x,y,z'
'-x+1/2,y,-z+1/2'
'x+1/2,-y,z+1/2'
loop_
_atom_site_label
_atom_site_fract_x
_atom_site_fract_y
_atom_site_fract_z
K1 0.000 0.084 0.244
Ta1 0.247 0.201 0.562
Ta2 0.250 0.430 0.250
Cu1 0.000 0.500 0.000
Cu2 0.000 0.500 0.500
O1 0.000 0.150 0.559
O2 0.000 0.273 0.947
O3 0.000 0.443 0.187
O4 0.183 0.416 0.615
O5 0.191 0.000 0.000
O6 0.213 0.275 0.379
O7 0.250 0.148 0.750
# Total energy (eV per cell): -479.4
# Theoretical density (Mg/m³): 7.41
# M_tot (Bohr magnetons per cell): 0.15
# Energy with MP2020 corrections (eV/atom): -9.002
# Energy of formation from the pure elements (eV/atom): -2.91
# Calculated volume (Å³/f.u.): 177


2.
# KYCu2O4 (PBE, optimized geometry)
data_KYCu2O4
_cell_length_a 3.881
_cell_length_b 3.881
_cell_length_c 7.181
_cell_angle_alpha 90.00
_cell_angle_beta 90.00
_cell_angle_gamma 90.00
_space_group_name_H-M_alt 'P 4/m m m'
_space_group_IT_number 123
_space_group_name_Hall '-P 4 2'
loop_
_atom_site_label
_atom_site_fract_x
_atom_site_fract_y
_atom_site_fract_z
K1 0.000 0.000 0.000
Y1 0.000 0.000 0.500
Cu1 0.500 0.500 0.277
O1 0.000 0.500 0.300
# Total energy (eV per cell): -49.0
# Theoretical density (Mg/m³): 4.90
# M_tot (Bohr magnetons per cell): 0.00
# Energy with MP2020 corrections (eV/atom): -6.463
# Energy of formation from the pure elements (eV/atom): -2.02
# Calculated volume (Å³/f.u.): 108


3.
# K2CuP3S9 (PBE, optimized geometry)
data_K2CuP3S9
_cell_length_a 6.906
_cell_length_b 24.341
_cell_length_c 10.991
_cell_angle_alpha 90.00
_cell_angle_beta 118.87
_cell_angle_gamma 90.00
_space_group_name_H-M_alt 'P 1 21/c 1'
_space_group_IT_number 14
loop_
_space_group_symop_operation_xyz
'x,y,z'
'-x,-y,-z'
'-x,y+1/2,-z+1/2'
'x,-y+1/2,z+1/2'
loop_
_atom_site_label
_atom_site_fract_x
_atom_site_fract_y
_atom_site_fract_z
K1 0.009 0.044 0.238
K2 0.298 0.696 0.128
Cu1 0.237 0.609 0.808
P1 0.096 0.221 0.781
P2 0.222 0.099 0.661
P3 0.251 0.102 0.989
S1 0.060 0.576 0.583
S2 0.092 0.572 0.942
S3 0.176 0.201 0.303
S4 0.228 0.703 0.807
S5 0.246 0.187 0.666
S6 0.286 0.189 0.986
S7 0.397 0.070 0.870
S8 0.408 0.075 0.575
S9 0.466 0.081 0.183
# Total energy (eV per cell): -271.6
# Theoretical density (Mg/m³): 2.15
# M_tot (Bohr magnetons per cell): 0.01
# Energy with MP2020 corrections (eV/atom): -4.828
# Energy of formation from the pure elements (eV/atom): -0.84
# Calculated volume (Å³/f.u.): 404


4.
# KCu3PbSe4 (PBE, optimized geometry)
data_KCu3PbSe4
_cell_length_a 6.399
_cell_length_b 6.399
_cell_length_c 6.399
_cell_angle_alpha 90.00
_cell_angle_beta 90.00
_cell_angle_gamma 90.00
_space_group_name_H-M_alt 'P -4 3 m'
_space_group_IT_number 215
_space_group_name_Hall 'P -4 2 3'
loop_
_atom_site_label
_atom_site_fract_x
_atom_site_fract_y
_atom_site_fract_z
K1 0.000 0.000 0.000
Cu1 0.000 0.500 0.500
Pb1 0.500 0.500 0.500
Se1 0.268 0.268 0.732
# Total energy (eV per cell): -31.5
# Theoretical density (Mg/m³): 4.77
# M_tot (Bohr magnetons per cell): 0.00
# Energy with MP2020 corrections (eV/atom): -3.706
# Energy of formation from the pure elements (eV/atom): -0.25
# Calculated volume (Å³/f.u.): 262